LiCo3O2F6: relaxed, PBE with a Hubbard U.

a = 5.535 Å, b = 4.603 Å, c = 10.226 Å
α = 90.00°, β = 97.21°, γ = 90.00°
Atoms (fractional coordinates):
Li1 0.000 0.249 0.000
Li2 0.000 0.751 0.500
Co1 0.265 0.220 0.756
Co2 0.265 0.780 0.256
Co3 0.502 0.259 0.505
Co4 0.502 0.741 0.005
Co5 0.731 0.276 0.245
Co6 0.731 0.724 0.745
O1 0.472 0.062 0.329
O2 0.472 0.938 0.829
O3 0.530 0.440 0.666
O4 0.530 0.560 0.166
F1 0.031 0.474 0.183
F2 0.031 0.526 0.683
F3 0.226 0.053 0.574
F4 0.226 0.947 0.074
F5 0.272 0.441 0.922
F6 0.272 0.559 0.422
F7 0.723 0.061 0.076
F8 0.723 0.939 0.576
F9 0.772 0.450 0.424
F10 0.772 0.550 0.924
F11 0.966 0.026 0.817
F12 0.966 0.974 0.317

Output
**Formation energy from the elements**: -25.01 eV/f.u.
**Symmetry**: No. 7
**Energy above the most stable polymorph in this dataset**: 23 meV per atom
**ρ**: 4.24 g/cm3

MnInFeC9O9: relaxed, PBE with a Hubbard U.

a = 13.432 Å, b = 13.442 Å, c = 17.915 Å
α = 112.01°, β = 111.84°, γ = 90.07°
Atoms (fractional coordinates):
Mn1 0.000 0.000 0.000
Mn2 0.038 0.347 0.499
Mn3 0.282 0.898 0.375
Mn4 0.322 0.243 0.874
Mn5 0.387 0.806 0.001
Mn6 0.479 0.285 0.375
Mn7 0.845 0.960 0.500
Mn8 0.937 0.438 0.875
In1 0.336 0.706 0.374
In2 0.422 0.476 0.373
In3 0.515 0.297 0.875
In4 0.578 0.856 0.999
In5 0.744 0.385 0.874
In6 0.808 0.947 0.000
In7 0.896 0.766 0.499
In8 0.987 0.539 0.499
Fe1 0.011 0.723 0.640
Fe2 0.309 0.521 0.233
Fe3 0.450 0.661 0.515
Fe4 0.560 0.271 0.735
Fe5 0.623 0.833 0.859
Fe6 0.699 0.412 0.016
Fe7 0.763 0.972 0.139
Fe8 0.871 0.582 0.358
C1 0.003 0.135 0.084
C2 0.004 0.643 0.381
C3 0.018 0.857 0.716
C4 0.058 0.952 0.089
C5 0.069 0.215 0.497
C6 0.069 0.472 0.877
C7 0.082 0.666 0.717
C8 0.091 0.333 0.414
C9 0.124 0.756 0.617
C10 0.130 0.031 0.998
C11 0.148 0.819 0.290
C12 0.173 0.426 0.584
C13 0.191 0.211 0.875
C14 0.197 0.490 0.258
C15 0.232 0.911 0.461
C16 0.239 0.579 0.158
C17 0.251 0.030 0.377
C18 0.256 0.773 0.000
C19 0.266 0.293 0.786
C20 0.301 0.387 0.156
C21 0.318 0.596 0.490
C22 0.319 0.109 0.789
C23 0.333 0.868 0.287
C24 0.336 0.863 0.916
C25 0.341 0.227 0.286
C26 0.355 0.384 0.958
C27 0.373 0.669 0.914
C28 0.394 0.192 0.960
C29 0.416 0.944 0.089
C30 0.422 0.317 0.459
C31 0.422 0.949 0.460
C32 0.427 0.201 0.658
C33 0.444 0.576 0.257
C34 0.446 0.793 0.589
C35 0.468 0.757 0.086
C36 0.491 0.757 0.786
C37 0.511 0.155 0.377
C38 0.526 0.602 0.589
C39 0.527 0.406 0.758
C40 0.529 0.279 0.290
C41 0.559 0.700 0.492
C42 0.583 0.965 0.882
C43 0.614 0.359 0.462
C44 0.615 0.159 0.758
C45 0.617 0.264 0.658
C46 0.635 0.519 0.991
C47 0.641 0.410 0.091
C48 0.679 0.835 0.784
C49 0.686 0.723 0.881
C50 0.706 0.979 0.216
C51 0.708 0.084 0.116
C52 0.708 0.888 0.414
C53 0.739 0.280 0.993
C54 0.763 0.541 0.381
C55 0.793 0.835 0.115
C56 0.796 0.643 0.286
C57 0.797 0.965 0.586
C58 0.813 0.091 0.500
C59 0.831 0.488 0.089
C60 0.856 0.485 0.788
C61 0.873 0.450 0.283
C62 0.875 0.666 0.615
C63 0.895 0.042 0.217
C64 0.898 0.295 0.413
C65 0.899 0.925 0.414
C66 0.908 0.300 0.787
C67 0.927 0.050 0.914
C68 0.949 0.575 0.960
C69 0.965 0.860 0.915
C70 0.984 0.017 0.587
C71 0.987 0.382 0.960
C72 0.989 0.377 0.588
O1 0.006 0.218 0.138
O2 0.018 0.346 0.012
O3 0.026 0.945 0.767
O4 0.064 0.771 0.236
O5 0.070 0.056 0.643
O6 0.088 0.129 0.494
O7 0.088 0.682 0.390
O8 0.097 0.923 0.146
O9 0.109 0.192 0.877
O10 0.120 0.466 0.267
O11 0.127 0.322 0.363
O12 0.128 0.632 0.769
O13 0.154 0.492 0.880
O14 0.171 0.752 0.998
O15 0.195 0.614 0.106
O16 0.199 0.923 0.515
O17 0.201 0.780 0.609
O18 0.212 0.050 0.995
O19 0.228 0.324 0.730
O20 0.233 0.116 0.379
O21 0.235 0.555 0.481
O22 0.256 0.187 0.229
O23 0.258 0.474 0.637
O24 0.293 0.301 0.103
O25 0.302 0.898 0.863
O26 0.315 0.026 0.736
O27 0.340 0.157 0.606
O28 0.360 0.582 0.861
O29 0.363 0.850 0.231
O30 0.377 0.473 0.012
O31 0.388 0.335 0.513
O32 0.404 0.707 0.738
O33 0.432 0.030 0.144
O34 0.435 0.157 0.012
O35 0.444 0.879 0.638
O36 0.502 0.491 0.766
O37 0.510 0.980 0.515
O38 0.518 0.729 0.141
O39 0.530 0.072 0.380
O40 0.531 0.609 0.267
O41 0.549 0.047 0.890
O42 0.558 0.272 0.235
O43 0.574 0.562 0.635
O44 0.594 0.593 0.981
O45 0.602 0.410 0.139
O46 0.622 0.847 0.361
O47 0.634 0.731 0.482
O48 0.649 0.082 0.767
O49 0.651 0.256 0.605
O50 0.674 0.988 0.270
O51 0.675 0.161 0.107
O52 0.688 0.509 0.390
O53 0.701 0.401 0.515
O54 0.716 0.837 0.735
O55 0.725 0.648 0.889
O56 0.747 0.683 0.239
O57 0.768 0.970 0.641
O58 0.771 0.197 0.985
O59 0.789 0.632 0.604
O60 0.793 0.174 0.498
O61 0.807 0.514 0.734
O62 0.811 0.261 0.358
O63 0.814 0.748 0.104
O64 0.874 0.363 0.235
O65 0.887 0.085 0.862
O66 0.889 0.216 0.729
O67 0.918 0.537 0.136
O68 0.931 0.903 0.359
O69 0.943 0.772 0.859
O70 0.960 0.395 0.645
O71 0.961 0.663 0.012
O72 0.981 0.087 0.270

Output
**Formation energy from the elements**: -14.43 eV/f.u.
**Symmetry**: No. 1
**ρ**: 2.31 g/cm3

Li3VO2F2: relaxed, PBE with a Hubbard U.

a = 5.118 Å, b = 5.971 Å, c = 5.010 Å
α = 90.00°, β = 107.76°, γ = 90.00°
Atoms (fractional coordinates):
Li1 0.000 0.115 0.250
Li2 0.000 0.359 0.750
Li3 0.000 0.641 0.250
Li4 0.000 0.885 0.750
Li5 0.500 0.375 0.250
Li6 0.500 0.625 0.750
V1 0.500 0.098 0.750
V2 0.500 0.902 0.250
O1 0.263 0.129 0.996
O2 0.263 0.871 0.496
O3 0.737 0.129 0.504
O4 0.737 0.871 0.004
F1 0.255 0.371 0.507
F2 0.255 0.629 0.007
F3 0.745 0.371 0.993
F4 0.745 0.629 0.493

Output
**Formation energy from the elements**: -21.76 eV/f.u.
**Symmetry**: No. 13
**Energy above the most stable polymorph in this dataset**: 29 meV per atom
**ρ**: 3.23 g/cm3

Sr5Ca3Fe4Co4O20: relaxed, PBE with a Hubbard U.

a = 10.798 Å, b = 11.247 Å, c = 17.634 Å
α = 71.44°, β = 72.22°, γ = 89.91°
Atoms (fractional coordinates):
Sr1 0.000 0.000 0.000
Sr2 0.001 0.494 0.000
Sr3 0.136 0.135 0.224
Sr4 0.142 0.637 0.717
Sr5 0.248 0.263 0.001
Sr6 0.252 0.762 0.002
Sr7 0.389 0.404 0.225
Sr8 0.391 0.909 0.717
Sr9 0.393 0.904 0.224
Sr10 0.396 0.408 0.717
Sr11 0.501 0.498 0.000
Sr12 0.504 0.997 0.000
Sr13 0.640 0.137 0.222
Sr14 0.641 0.639 0.224
Sr15 0.645 0.141 0.717
Sr16 0.750 0.264 0.000
Sr17 0.751 0.769 0.001
Sr18 0.887 0.905 0.224
Sr19 0.889 0.401 0.225
Sr20 0.891 0.906 0.717
Ca1 0.003 0.489 0.504
Ca2 0.144 0.629 0.221
Ca3 0.146 0.135 0.715
Ca4 0.250 0.766 0.505
Ca5 0.252 0.270 0.505
Ca6 0.502 0.989 0.504
Ca7 0.507 0.491 0.504
Ca8 0.646 0.634 0.714
Ca9 0.751 0.768 0.505
Ca10 0.756 0.272 0.505
Ca11 0.896 0.412 0.714
Ca12 0.999 0.987 0.503
Fe1 0.089 0.290 0.368
Fe2 0.091 0.795 0.860
Fe3 0.092 0.292 0.855
Fe4 0.092 0.787 0.363
Fe5 0.338 0.607 0.368
Fe6 0.339 0.109 0.366
Fe7 0.340 0.111 0.859
Fe8 0.346 0.611 0.856
Fe9 0.589 0.289 0.367
Fe10 0.589 0.787 0.369
Fe11 0.592 0.792 0.856
Fe12 0.595 0.297 0.858
Fe13 0.838 0.107 0.369
Fe14 0.839 0.608 0.859
Fe15 0.846 0.609 0.363
Fe16 0.849 0.116 0.853
Co1 0.192 0.950 0.114
Co2 0.193 0.449 0.112
Co3 0.195 0.452 0.608
Co4 0.198 0.958 0.601
Co5 0.443 0.200 0.112
Co6 0.443 0.699 0.114
Co7 0.446 0.703 0.605
Co8 0.447 0.206 0.603
Co9 0.694 0.952 0.605
Co10 0.694 0.953 0.112
Co11 0.695 0.451 0.111
Co12 0.698 0.455 0.604
Co13 0.942 0.200 0.112
Co14 0.942 0.700 0.112
Co15 0.944 0.702 0.605
Co16 0.946 0.203 0.607
O1 0.007 0.296 0.964
O2 0.009 0.794 0.972
O3 0.016 0.131 0.372
O4 0.017 0.641 0.858
O5 0.026 0.627 0.364
O6 0.029 0.135 0.851
O7 0.059 0.816 0.615
O8 0.064 0.318 0.121
O9 0.065 0.314 0.621
O10 0.070 0.080 0.104
O11 0.070 0.815 0.122
O12 0.076 0.584 0.594
O13 0.079 0.572 0.107
O14 0.082 0.077 0.596
O15 0.112 0.409 0.747
O16 0.115 0.405 0.259
O17 0.115 0.915 0.753
O18 0.118 0.901 0.253
O19 0.245 0.984 0.470
O20 0.247 0.485 0.472
O21 0.259 0.997 0.970
O22 0.262 0.499 0.966
O23 0.266 0.263 0.372
O24 0.267 0.763 0.371
O25 0.268 0.267 0.859
O26 0.269 0.765 0.858
O27 0.309 0.835 0.614
O28 0.310 0.328 0.119
O29 0.319 0.071 0.106
O30 0.319 0.317 0.617
O31 0.319 0.811 0.122
O32 0.322 0.577 0.106
O33 0.327 0.086 0.591
O34 0.328 0.585 0.594
O35 0.360 0.107 0.751
O36 0.361 0.608 0.257
O37 0.364 0.109 0.256
O38 0.366 0.609 0.747
O39 0.495 0.805 0.473
O40 0.497 0.309 0.470
O41 0.508 0.795 0.966
O42 0.510 0.295 0.968
O43 0.516 0.129 0.371
O44 0.516 0.629 0.372
O45 0.519 0.142 0.858
O46 0.527 0.636 0.850
O47 0.563 0.323 0.120
O48 0.563 0.819 0.617
O49 0.568 0.588 0.106
O50 0.568 0.824 0.120
O51 0.571 0.325 0.615
O52 0.572 0.092 0.595
O53 0.574 0.078 0.104
O54 0.584 0.585 0.592
O55 0.614 0.416 0.752
O56 0.614 0.898 0.261
O57 0.616 0.400 0.257
O58 0.616 0.911 0.749
O59 0.746 0.984 0.471
O60 0.755 0.487 0.466
O61 0.757 0.499 0.970
O62 0.763 0.005 0.961
O63 0.766 0.262 0.373
O64 0.768 0.761 0.371
O65 0.769 0.766 0.858
O66 0.779 0.275 0.850
O67 0.811 0.817 0.619
O68 0.816 0.826 0.120
O69 0.817 0.321 0.120
O70 0.818 0.332 0.619
O71 0.823 0.078 0.104
O72 0.827 0.582 0.105
O73 0.830 0.085 0.592
O74 0.830 0.584 0.597
O75 0.861 0.597 0.751
O76 0.865 0.106 0.259
O77 0.870 0.106 0.745
O78 0.870 0.610 0.252
O79 0.996 0.805 0.468
O80 0.999 0.306 0.473

Output
**Formation energy from the elements**: -80.76 eV/f.u.
**Symmetry**: No. 1
**ρ**: 4.62 g/cm3